Crystalline IrN at its relaxed geometry, computed with PBE.

Cell lengths 3.096, 3.096, 5.188 Å; angles 90.00, 90.00, 120.00 degrees
Fractional positions:
Ir1 0.000 0.000 0.000
Ir2 0.000 0.000 0.500
N1 0.333 0.667 0.250
N2 0.667 0.333 0.750

size of the total moment: 0.0 μB per cell
total energy after the MP2020 corrections: -7.5754 eV/atom
E above lowest polymorph: 0.654 eV per atom
SG: P6_3/mmc

=====

Crystalline Ti3V3Ge5 at its relaxed geometry, computed with PBE.

Cell lengths 9.226, 9.226, 9.226 Å; angles 147.06, 126.52, 64.26 degrees
Fractional positions:
Ti1 0.000 0.000 0.500
Ti2 0.000 0.500 0.000
Ti3 0.152 0.152 0.000
Ti4 0.500 0.000 0.000
Ti5 0.500 0.500 0.500
Ti6 0.848 0.848 0.000
V1 0.147 0.418 0.728
V2 0.310 0.582 0.728
V3 0.500 0.261 0.761
V4 0.500 0.739 0.239
V5 0.690 0.418 0.272
V6 0.853 0.582 0.272
Ge1 0.000 0.244 0.244
Ge2 0.000 0.756 0.756
Ge3 0.199 0.699 0.500
Ge4 0.208 0.897 0.311
Ge5 0.338 0.338 0.000
Ge6 0.414 0.103 0.311
Ge7 0.586 0.897 0.689
Ge8 0.662 0.662 0.000
Ge9 0.792 0.103 0.689
Ge10 0.801 0.301 0.500

size of the total moment: 0.0 μB per cell
E above lowest polymorph: 0.155 eV per atom
SG: Immm